# 1
Computed, not measured: an optimized crystal structure of MnFe2P2O18 at the GGA+U level of DFT.

```
MnFe2P2O18
1.0
5.340 0.000 0.000
-2.355 6.628 0.000
-1.955 -1.853 9.439
Mn Fe P O
1 2 2 18
direct
0.000 0.000 0.000
0.500 0.000 0.500
0.500 0.500 0.500
0.005 0.907 0.680
0.995 0.093 0.320
0.104 0.900 0.839
0.143 0.318 0.404
0.167 0.275 0.982
0.172 0.459 0.742
0.196 0.974 0.331
0.251 0.019 0.625
0.264 0.923 0.113
0.375 0.709 0.490
0.399 0.467 0.728
0.601 0.533 0.272
0.625 0.291 0.510
0.736 0.077 0.887
0.749 0.981 0.375
0.804 0.026 0.669
0.828 0.541 0.258
0.833 0.725 0.018
0.857 0.682 0.596
0.896 0.100 0.161
```

Computed properties:
The excess energy over the best structure of this formula in the dataset is 251 meV per atom. The calculated total energy is -5.8515 eV/atom. The space group is P-1. Its MP2020-corrected energy is -143.66 eV/f.u.



# 2
Computed, not measured: an optimized crystal structure of MgCrO4 at the GGA+U level of DFT.

```
MgCrO4
1.0
5.033 -4.638 0.000
5.033 4.638 0.000
-1.630 0.000 6.645
Mg Cr O
4 4 16
direct
0.182 0.818 0.000
0.203 0.203 0.366
0.797 0.797 0.634
0.818 0.182 0.000
0.256 0.744 0.500
0.274 0.274 0.912
0.726 0.726 0.088
0.744 0.256 0.500
0.112 0.799 0.684
0.142 0.142 0.040
0.201 0.888 0.316
0.212 0.212 0.668
0.216 0.511 0.977
0.221 0.512 0.397
0.488 0.779 0.603
0.489 0.784 0.023
0.511 0.216 0.977
0.512 0.221 0.397
0.779 0.488 0.603
0.784 0.489 0.023
0.788 0.788 0.332
0.799 0.112 0.684
0.858 0.858 0.960
0.888 0.201 0.316
```

Computed properties:
The excess energy over the best structure of this formula in the dataset is 11 meV per atom. The calculated total energy is -6.5629 eV/atom. The space group is C2/m. Its MP2020-corrected energy is -44.12 eV/f.u.



# 3
Computed, not measured: an optimized crystal structure of MgV2CdO6 at the GGA+U level of DFT.

```
MgV2CdO6
1.0
5.438 -1.818 0.000
5.438 1.818 0.000
-1.570 0.000 6.495
Mg V Cd O
1 2 1 6
direct
0.000 0.000 0.000
0.275 0.275 0.823
0.725 0.725 0.177
0.500 0.500 0.500
0.153 0.153 0.610
0.192 0.192 0.062
0.448 0.448 0.799
0.552 0.552 0.201
0.808 0.808 0.938
0.847 0.847 0.390
```

Computed properties:
The excess energy over the best structure of this formula in the dataset is 2 meV per atom. The calculated total energy is -6.6343 eV/atom. The space group is C2/m. Its MP2020-corrected energy is -73.87 eV/f.u.



# 4
Computed, not measured: an optimized crystal structure of K2MgCo2O4 at the GGA+U level of DFT.

```
K2MgCo2O4
1.0
3.784 0.000 0.000
0.000 3.784 0.000
0.000 0.000 9.804
K Mg Co O
2 1 2 4
direct
0.000 0.000 0.000
0.500 0.500 0.264
0.000 0.000 0.699
0.000 0.000 0.454
0.500 0.500 0.674
0.000 0.000 0.269
0.000 0.500 0.592
0.500 0.000 0.592
0.500 0.500 0.869
```

Computed properties:
The excess energy over the best structure of this formula in the dataset is 398 meV per atom. The calculated total energy is -4.7654 eV/atom. The space group is P4mm. Its MP2020-corrected energy is -48.91 eV/f.u.



# 5
Computed, not measured: an optimized crystal structure of LiNiP3O9 at the GGA+U level of DFT.

```
LiNiP3O9
1.0
6.793 0.000 0.000
0.792 7.062 0.000
1.454 0.621 7.056
Li Ni P O
2 2 6 18
direct
0.086 0.276 0.129
0.914 0.724 0.871
0.439 0.838 0.852
0.561 0.162 0.148
0.143 0.706 0.221
0.236 0.150 0.547
0.424 0.380 0.779
0.576 0.620 0.221
0.764 0.850 0.453
0.857 0.294 0.779
0.003 0.790 0.409
0.055 0.538 0.176
0.189 0.866 0.067
0.281 0.971 0.665
0.289 0.154 0.334
0.332 0.327 0.607
0.340 0.645 0.314
0.362 0.583 0.811
0.377 0.232 0.948
0.623 0.768 0.052
0.638 0.417 0.189
0.660 0.355 0.686
0.668 0.673 0.393
0.711 0.846 0.666
0.719 0.029 0.335
0.811 0.134 0.933
0.945 0.462 0.824
0.997 0.210 0.591
```

Computed properties:
The excess energy over the best structure of this formula in the dataset is 49 meV per atom. The calculated total energy is -6.7158 eV/atom. The space group is P-1. Its MP2020-corrected energy is -102.74 eV/f.u.



# 6
Computed, not measured: an optimized crystal structure of LiCoPt3O6 at the GGA+U level of DFT.

```
LiCoPt3O6
1.0
6.237 0.000 0.000
0.000 3.182 0.000
-1.756 0.000 6.436
Li Co Pt O
1 1 3 6
direct
0.000 0.000 0.000
0.173 0.000 0.696
0.232 0.500 0.277
0.694 0.500 0.735
0.710 0.000 0.250
0.038 0.500 0.839
0.053 0.000 0.350
0.357 0.500 0.630
0.379 0.000 0.175
0.669 0.000 0.928
0.754 0.000 0.561
```

Computed properties:
The excess energy over the best structure of this formula in the dataset is 9 meV per atom. The calculated total energy is -5.6376 eV/atom. The space group is Pm. Its MP2020-corrected energy is -67.77 eV/f.u.



# 7
Computed, not measured: an optimized crystal structure of Li4Fe2TeWO12 at the GGA+U level of DFT.

```
Li4Fe2TeWO12
1.0
5.127 0.000 0.000
0.002 5.413 0.000
0.016 0.563 7.453
Li Fe Te W O
4 2 1 1 12
direct
0.000 0.000 0.000
0.006 0.007 0.504
0.505 0.511 0.004
0.513 0.505 0.499
0.005 0.580 0.786
0.506 0.076 0.288
0.504 0.084 0.791
0.007 0.576 0.287
0.124 0.601 0.045
0.185 0.916 0.736
0.197 0.283 0.357
0.307 0.779 0.357
0.333 0.406 0.734
0.374 0.107 0.036
0.638 0.107 0.549
0.689 0.411 0.242
0.696 0.790 0.870
0.801 0.282 0.869
0.828 0.904 0.244
0.889 0.603 0.540
```

Computed properties:
The calculated total energy is -5.9912 eV/atom. The space group is P1. Its MP2020-corrected energy is -137.02 eV/f.u.



# 8
Computed, not measured: an optimized crystal structure of NaCaNbWO6 at the GGA+U level of DFT.

```
NaCaNbWO6
1.0
0.000 4.024 4.024
4.024 0.000 4.024
4.024 4.024 0.000
Na Ca Nb W O
1 1 1 1 6
direct
0.000 0.000 0.000
0.500 0.500 0.500
0.750 0.750 0.750
0.250 0.250 0.250
0.501 0.501 0.999
0.501 0.999 0.501
0.501 0.999 0.999
0.999 0.501 0.501
0.999 0.501 0.999
0.999 0.999 0.501
```

Computed properties:
The calculated total energy is -7.3641 eV/atom. The space group is F-43m. Its MP2020-corrected energy is -82.20 eV/f.u.



# 9
Computed, not measured: an optimized crystal structure of Co3O2F4 at the GGA+U level of DFT.

```
Co3O2F4
1.0
9.381 0.000 0.000
0.000 4.618 0.000
0.000 0.000 4.534
Co O F
6 4 8
direct
0.000 0.245 0.000
0.173 0.784 0.467
0.327 0.216 0.967
0.500 0.755 0.500
0.673 0.216 0.967
0.827 0.784 0.467
0.169 0.057 0.168
0.331 0.943 0.668
0.669 0.943 0.668
0.831 0.057 0.168
0.000 0.584 0.280
0.000 0.971 0.668
0.162 0.467 0.765
0.338 0.533 0.265
0.500 0.029 0.168
0.500 0.416 0.780
0.662 0.533 0.265
0.838 0.467 0.765
```

Computed properties:
The excess energy over the best structure of this formula in the dataset is 50 meV per atom. The calculated total energy is -5.2450 eV/atom. The space group is Pmn2_1. Its MP2020-corrected energy is -55.34 eV/f.u.



# 10
Computed, not measured: an optimized crystal structure of Li9Mn2Co5O16 at the GGA+U level of DFT.

```
Li9Mn2Co5O16
1.0
2.994 0.000 0.000
-0.129 8.118 0.000
-0.925 -0.131 11.942
Li Mn Co O
9 2 5 16
direct
0.000 0.000 0.000
0.002 0.495 0.251
0.492 0.239 0.630
0.496 0.745 0.881
0.498 0.246 0.880
0.500 0.746 0.375
0.503 0.250 0.129
0.993 0.999 0.503
0.995 0.487 0.761
0.000 0.493 0.503
0.495 0.749 0.631
0.001 0.486 0.999
0.492 0.741 0.129
0.504 0.246 0.376
0.991 0.007 0.761
0.994 0.994 0.251
0.004 0.221 0.752
0.024 0.736 0.507
0.025 0.725 0.011
0.028 0.241 0.261
0.472 0.505 0.627
0.478 0.996 0.871
0.479 0.507 0.119
0.494 0.007 0.369
0.498 0.981 0.133
0.517 0.987 0.635
0.518 0.484 0.383
0.526 0.497 0.887
0.965 0.747 0.246
0.968 0.253 0.496
0.977 0.767 0.751
0.995 0.271 0.007
```

Computed properties:
The excess energy over the best structure of this formula in the dataset is 209 meV per atom. The calculated total energy is -5.6452 eV/atom. The space group is P1. Its MP2020-corrected energy is -203.16 eV/f.u.



# 11
Computed, not measured: an optimized crystal structure of MgMn6O6F6 at the GGA+U level of DFT.

```
MgMn6O6F6
1.0
3.070 0.000 0.000
0.003 5.277 0.000
0.007 2.233 14.454
Mg Mn O F
1 6 6 6
direct
0.000 0.000 0.000
0.001 0.515 0.027
0.002 0.411 0.662
0.003 0.368 0.346
0.501 0.908 0.812
0.502 0.865 0.199
0.503 0.900 0.507
0.001 0.785 0.897
0.002 0.102 0.754
0.002 0.659 0.249
0.003 0.066 0.437
0.003 0.721 0.573
0.501 0.758 0.062
0.000 0.154 0.118
0.499 0.193 0.278
0.500 0.255 0.963
0.502 0.249 0.597
0.503 0.573 0.735
0.505 0.535 0.407
```

Computed properties:
The excess energy over the best structure of this formula in the dataset is 28 meV per atom. The calculated total energy is -6.6883 eV/atom. The space group is P1. Its MP2020-corrected energy is -143.98 eV/f.u.



# 12
Computed, not measured: an optimized crystal structure of MnCuO4 at the GGA+U level of DFT.

```
MnCuO4
1.0
-2.904 2.927 3.983
2.904 -2.927 3.983
2.904 2.927 -3.983
Mn Cu O
2 2 8
direct
0.000 0.000 0.000
0.500 0.000 0.500
0.374 0.624 0.750
0.626 0.376 0.250
0.234 0.235 0.999
0.250 0.219 0.469
0.250 0.781 0.031
0.264 0.765 0.499
0.736 0.235 0.501
0.750 0.219 0.969
0.750 0.781 0.531
0.766 0.765 0.001
```

Computed properties:
The calculated total energy is -5.7862 eV/atom. The space group is Imma. Its MP2020-corrected energy is -39.13 eV/f.u.



# 13
Computed, not measured: an optimized crystal structure of Li3V2S2O8F6 at the GGA+U level of DFT.

```
Li3V2S2O8F6
1.0
7.154 0.000 0.000
-0.075 7.829 0.000
-0.131 -0.295 10.364
Li V S O F
6 4 4 16 12
direct
0.000 0.000 0.000
0.006 0.498 0.024
0.070 0.501 0.505
0.077 0.006 0.521
0.545 0.187 0.556
0.574 0.695 0.063
0.293 0.072 0.267
0.294 0.581 0.771
0.794 0.080 0.270
0.794 0.572 0.767
0.036 0.737 0.274
0.045 0.237 0.774
0.528 0.411 0.282
0.570 0.911 0.784
0.116 0.635 0.169
0.131 0.135 0.873
0.180 0.855 0.340
0.191 0.355 0.712
0.388 0.295 0.211
0.409 0.794 0.833
0.444 0.494 0.393
0.490 0.032 0.695
0.614 0.522 0.189
0.664 0.983 0.897
0.683 0.290 0.335
0.700 0.793 0.709
0.890 0.854 0.212
0.905 0.354 0.840
0.951 0.637 0.375
0.960 0.137 0.667
0.041 0.183 0.298
0.050 0.684 0.790
0.230 0.987 0.099
0.265 0.644 0.604
0.268 0.514 0.940
0.328 0.125 0.453
0.531 0.472 0.754
0.553 0.972 0.246
0.773 0.628 0.953
0.815 0.010 0.439
0.827 0.151 0.105
0.844 0.484 0.599
```

Computed properties:
The calculated total energy is -5.9156 eV/atom. The space group is P1. Its MP2020-corrected energy is -135.90 eV/f.u.



# 14
Computed, not measured: an optimized crystal structure of CrCo3O8 at the GGA+U level of DFT.

```
CrCo3O8
1.0
2.870 1.657 4.843
-2.870 1.657 4.843
0.000 -3.314 4.843
Cr Co O
1 3 8
direct
0.000 0.000 0.000
0.000 0.500 0.500
0.500 0.000 0.500
0.500 0.500 0.000
0.236 0.236 0.725
0.236 0.725 0.236
0.268 0.268 0.268
0.275 0.764 0.764
0.725 0.236 0.236
0.732 0.732 0.732
0.764 0.275 0.764
0.764 0.764 0.275
```

Computed properties:
The excess energy over the best structure of this formula in the dataset is 4 meV per atom. The calculated total energy is -6.1019 eV/atom. The space group is R-3m. Its MP2020-corrected energy is -85.63 eV/f.u.



# 15
Computed, not measured: an optimized crystal structure of BaSrNiWO6 at the GGA+U level of DFT.

```
BaSrNiWO6
1.0
1.587 -3.249 -4.450
4.219 1.749 -3.467
8.548 -2.116 4.593
Ba Sr Ni W O
2 2 2 2 12
direct
0.125 0.750 0.375
0.625 0.750 0.875
0.375 0.250 0.125
0.875 0.250 0.625
0.250 0.500 0.750
0.750 0.500 0.250
0.500 0.000 0.500
0.000 0.000 0.000
0.138 0.241 0.379
0.638 0.241 0.879
0.621 0.241 0.379
0.121 0.241 0.879
0.621 0.759 0.380
0.121 0.759 0.879
0.879 0.759 0.120
0.379 0.759 0.621
0.880 0.241 0.120
0.379 0.241 0.621
0.362 0.759 0.120
0.862 0.759 0.621
```

Computed properties:
The calculated total energy is -6.6622 eV/atom. Its MP2020-corrected energy is -77.72 eV/f.u.